Version w
Li8NbS6 | GGA-PBE | optimized geometry

Its size of the total moment is 2.00 μB/cell.

It has space group P6_3cm (No. 185), with a = 6.9636 Å, b = 6.9636 Å, c = 13.4865 Å, α = 90.00°, β = 90.00° and γ = 120.00°. The inequivalent atoms are Li at (0.0000, 0.3190, 0.0000), Li at (0.0000, 0.3774, 0.3656), Li at (0.3333, 0.6667, 0.1338), Nb at (0.0000, 0.0000, 0.2323), S at (0.0000, 0.0000, 0.4097), S at (0.0000, 0.3219, 0.1842) and S at (0.3333, 0.6667, 0.4500).

---

Version x
Li8NbS6 | GGA-PBE | optimized geometry

Its size of the total moment is 3.00 μB/cell.

It has space group R-3 (No. 148, hexagonal axes), with a = 6.7597 Å, b = 6.7597 Å, c = 18.4527 Å, α = 90.00°, β = 90.00° and γ = 120.00°. The inequivalent atoms are Li at (0.0000, 0.0000, 0.1591), Li at (0.0122, 0.3180, 0.7138), Nb at (0.0000, 0.0000, 0.5000) and S at (0.0108, 0.3166, 0.5779).

---

Stability summary - winner: version x; margin: 0.011 eV/atom.

---

Version w
LiPrNdO2 | GGA-PBE | optimized geometry

Its size of the total moment is 0.08 μB/cell.

It has space group R3m (No. 160, hexagonal axes), with a = 3.5678 Å, b = 3.5678 Å, c = 26.5492 Å, α = 90.00°, β = 90.00° and γ = 120.00°. The inequivalent atoms are Li at (0.0000, 0.0000, 0.0000), Pr at (0.0000, 0.0000, 0.5574), Nd at (0.0000, 0.0000, 0.1112), O at (0.0000, 0.0000, 0.3999) and O at (0.0000, 0.0000, 0.8291).

---

Version x
LiPrNdO2 | GGA-PBE | optimized geometry

Its size of the total moment is 0.00 μB/cell.

It has space group R3m (No. 160, hexagonal axes), with a = 3.5387 Å, b = 3.5387 Å, c = 27.0137 Å, α = 90.00°, β = 90.00° and γ = 120.00°. The inequivalent atoms are Li at (0.0000, 0.0000, 0.0000), Pr at (0.0000, 0.0000, 0.1310), Nd at (0.0000, 0.0000, 0.5737), O at (0.0000, 0.0000, 0.2892) and O at (0.0000, 0.0000, 0.8582).

---

Version y
LiPrNdO2 | GGA-PBE | optimized geometry

Its size of the total moment is 0.00 μB/cell.

It has space group C2/m (No. 12), with a = 5.9713 Å, b = 4.7379 Å, c = 6.0466 Å, α = 90.00°, β = 110.86° and γ = 90.00°. The inequivalent atoms are Li at (0.0000, 0.0000, 0.0000), Pr at (0.0000, 0.5000, 0.0000), Nd at (0.0000, 0.0000, 0.5000) and O at (0.2401, 0.5000, 0.7229).

---

Stability summary - winner: version x; margin: 0.054 eV/atom.